1.
DFT (PBE) results for a relaxed RbUSO6F crystal.

The structure in POSCAR format:
```
RbUSO6F
1.0
6.8091 0.0000 0.0000
0.0000 12.0664 0.0000
0.0000 0.0000 25.6968
U O Rb F S
12 72 12 12 12
Cartesian
6.1354 6.7164 5.2357 U
6.1184 6.5364 13.8469 U
6.1354 0.6832 7.6126 U
0.6738 6.7164 18.0841 U
6.1184 0.5032 24.6982 U
0.6908 0.5032 11.8498 U
0.6908 6.5364 0.9986 U
6.1240 11.9679 16.1764 U
0.6851 5.9347 9.5203 U
0.6851 11.9679 3.3280 U
0.6738 0.6832 20.4610 U
6.1240 5.9347 22.3687 U
6.1980 10.8741 24.0927 O
6.1001 1.7067 16.1910 O
0.7091 1.7067 3.3426 O
2.8399 5.5390 8.4724 O
0.6111 10.8741 11.2443 O
3.7571 11.2420 21.7892 O
2.3657 1.1323 10.2615 O
6.1819 8.4055 5.8698 O
0.6054 10.1651 3.3270 O
4.4541 5.8949 24.0608 O
4.4434 7.1655 15.4352 O
0.6399 5.0076 17.4974 O
6.1693 5.0076 4.6490 O
3.8174 8.0005 25.1616 O
4.4787 6.0100 6.7918 O
2.3304 12.0432 18.9050 O
4.4787 12.0432 6.0566 O
4.4541 11.9281 14.4844 O
6.1693 11.0408 8.1994 O
3.0521 5.2088 3.9076 O
3.7988 7.7975 8.3306 O
1.6847 6.9682 4.9141 O
3.9816 1.4069 8.5092 O
2.3304 6.0100 19.6402 O
0.6111 4.8409 1.6041 O
5.1285 0.2930 12.1859 O
2.8259 11.8804 12.7404 O
0.6272 2.3723 19.8270 O
3.0521 11.2420 8.9408 O
3.0103 7.7975 21.1790 O
3.9833 11.8804 25.5888 O
2.3657 7.1655 2.5868 O
2.3550 11.9281 1.6360 O
6.0714 8.2359 13.2322 O
0.6272 8.4055 18.7182 O
0.7377 8.2359 0.3838 O
1.6807 0.2930 25.0343 O
0.6054 4.1319 9.5213 O
5.1276 5.9123 9.1358 O
0.7091 7.7400 9.5058 O
2.9917 1.9673 0.5352 O
2.8399 11.5722 4.3760 O
5.1285 6.3262 0.6625 O
1.6807 6.3262 13.5109 O
3.0103 1.7643 17.3661 O
3.9692 5.5390 21.3207 O
0.7377 2.2027 12.4646 O
3.7988 1.7643 4.5177 O
3.9816 7.4401 4.3392 O
6.1980 4.8409 14.4525 O
6.2038 10.1651 16.1754 O
2.8275 7.4401 17.1875 O
2.8275 1.4069 21.3576 O
1.6815 11.9455 16.5610 O
5.1245 6.9682 17.7625 O
1.6847 0.9350 7.9342 O
2.8259 5.8471 0.1080 O
3.9692 11.5722 17.2244 O
6.1001 7.7400 22.3542 O
5.1276 11.9455 3.7126 O
2.9917 8.0005 12.3132 O
3.7571 5.2088 16.7559 O
2.3550 5.8949 11.2124 O
3.8174 1.9673 13.3836 O
3.9833 5.8471 12.9564 O
1.6815 5.9123 21.9842 O
6.0714 2.2027 25.3129 O
6.1819 2.3723 6.9786 O
5.1245 0.9350 20.7826 O
0.6399 11.0408 21.0478 O
4.4434 1.1323 23.1099 O
6.2038 4.1319 22.3697 O
4.4287 3.4753 10.8723 Rb
2.1234 9.5769 6.7056 Rb
4.6858 9.5769 19.5540 Rb
1.9620 3.4558 15.1663 Rb
4.6858 3.5437 18.9911 Rb
1.9620 9.4890 23.3788 Rb
4.8471 3.4558 2.3179 Rb
2.3804 9.5085 14.8245 Rb
4.8471 9.4890 10.5305 Rb
2.1234 3.5437 6.1427 Rb
2.3804 3.4753 23.7206 Rb
4.4287 9.5085 1.9761 Rb
0.3756 5.9042 24.4551 F
6.4176 6.0166 20.0517 F
0.3915 12.0498 5.6451 F
0.3816 1.2062 22.7326 F
6.4336 11.9375 1.2417 F
0.3816 7.2394 15.8125 F
6.4176 12.0498 18.4935 F
0.3915 6.0166 7.2033 F
0.3756 11.9375 14.0901 F
6.4275 1.2062 9.8843 F
6.4275 7.2394 2.9641 F
6.4336 5.9042 11.6067 F
2.7771 6.6388 3.9326 S
4.0320 6.6388 16.7810 S
4.0544 0.5405 13.2078 S
4.0544 6.5737 25.3374 S
2.7516 0.3380 17.5118 S
4.0576 6.3712 8.1850 S
2.7547 0.5405 0.3594 S
4.0576 0.3380 4.6634 S
2.7771 0.6056 8.9158 S
2.7516 6.3712 21.0334 S
4.0320 0.6056 21.7641 S
2.7547 6.5737 12.4890 S
```

Properties
VASP energy = -864.32 eV/cell
Mass density = 4.4 Mg/m³
Crystal system = orthorhombic
Symmetry = No. 29
M_tot = 0.050 Bohr magnetons per cell

***

2.
DFT (PBE) results for a relaxed Na4Bi2B4SO16 crystal.

The structure in POSCAR format:
```
Na4Bi2B4SO16
1.0
9.8296 1.8083 2.5494
3.3248 -1.0425 9.6560
6.0175 -7.7190 2.2694
O S B Na Bi
32 2 8 8 4
Cartesian
9.3087 -1.7397 11.1987 O
10.8691 -0.4347 3.3865 O
7.3854 -3.0504 10.6541 O
9.5362 -7.5897 7.4249 O
14.7171 -6.6486 10.5784 O
9.4149 -4.1502 11.2960 O
9.2477 -2.0429 7.5151 O
8.3817 -4.3107 7.5556 O
4.5990 -2.9101 8.1193 O
9.9845 -3.6003 5.7977 O
7.4459 -5.4198 2.6570 O
8.6386 0.7672 4.6255 O
12.3178 -1.7635 11.5892 O
11.8301 0.7262 9.8134 O
13.1941 -2.2292 5.7805 O
10.7297 -3.9526 8.0813 O
11.9072 -0.2466 6.1724 O
9.7709 -7.2143 5.0510 O
11.6470 -6.9280 6.5043 O
13.9803 -5.0912 12.2959 O
6.7498 -7.4494 4.8900 O
6.1172 -1.6987 6.0107 O
10.7454 -7.4681 10.1447 O
13.2194 -1.2234 7.9488 O
15.5831 -4.3808 10.5380 O
7.4853 -1.9199 4.0563 O
6.0401 -0.7259 9.6517 O
14.5499 -4.5413 6.7975 O
13.2351 -4.7390 10.0122 O
6.0447 -3.7290 4.7512 O
13.1547 -5.7291 4.3812 O
8.0906 -6.7708 10.7929 O
14.3789 -5.2149 10.8561 S
9.5859 -3.4766 7.2374 S
12.7879 -1.2161 6.6393 B
15.2568 -5.7174 7.0224 B
11.1769 -7.4754 11.4542 B
8.7080 -2.9741 11.0711 B
6.5354 -2.4518 4.9213 B
13.6524 -1.4271 11.7756 B
10.3124 -7.2644 6.3179 B
17.4294 -6.2397 13.1722 B
11.8244 -4.2218 11.8429 Na
12.1404 -4.4697 6.2506 Na
9.4862 -5.6394 9.1559 Na
7.0314 -2.4835 8.2242 Na
16.9334 -6.2080 9.8693 Na
14.2792 -7.3777 12.7746 Na
9.6856 -1.3138 5.3189 Na
14.4786 -3.0521 8.9376 Na
4.0589 -1.3904 6.6374 Bi
2.3965 -0.8692 1.8094 Bi
5.4052 -4.7287 2.9440 Bi
7.3113 0.0350 3.0840 Bi
```

Properties
VASP energy = -340.57 eV/cell
Mass density = 3.7 Mg/m³
Crystal system = orthorhombic
Symmetry = No. 70
M_tot = 0.002 Bohr magnetons per cell

***

3.
DFT (PBE) results for a relaxed ZrScTc2 crystal.

The structure in POSCAR format:
```
ZrScTc2
1.0
0.0000 3.2729 3.2729
3.2729 0.0000 3.2729
3.2729 3.2729 0.0000
Tc Sc Zr
2 1 1
Cartesian
1.6365 1.6365 1.6365 Tc
4.9094 4.9094 4.9094 Tc
3.2729 3.2729 3.2729 Sc
0.0000 0.0000 0.0000 Zr
```

Properties
VASP energy = -36.50 eV/cell
Mass density = 7.9 Mg/m³
Crystal system = cubic
Symmetry = No. 225